Compound: V2Bi8O17
Source: the Materials Project database
Functional: PBE+U
Structure: optimized geometry

Computed properties:
Total energy = -6.149 eV per atom
Mass density = 6.42 g/cm³
Spin magnetization = 0.00 μB per cell
SG = P1 (1)

abc: 6.3393 6.1764 14.2785
angles: 106.10 95.07 96.77
Closest atoms and distances in Å follow each position.
Fractional positions:
O: 0.8363 0.1589 0.0684  1 V 1.75
O: 0.9395 0.4446 0.4611  1 V 1.81
O: 0.6626 0.2199 0.8845  1 V 1.73
O: 0.9745 0.7860 0.7433  2 Bi 2.14-2.20
O: 0.3759 0.2846 0.7228  2 Bi 2.15-2.21
O: 0.4500 0.6872 0.2304  2 Bi 2.20-2.22
O: 0.4895 0.1936 0.2468  2 Bi 2.17
O: 0.6749 0.0542 0.4198  1 V 1.86
O: 0.6688 0.7002 0.5299  1 V 2.12, 2 Bi 2.15-2.20
O: 0.4107 0.2650 0.0381  1 V 1.77
O: 0.0638 0.0128 0.5655  2 Bi 2.10-2.22
O: 0.7732 0.3374 0.6170  1 V 1.69
O: 0.4002 0.3207 0.4840  1 V 1.83
O: 0.0469 0.0304 0.2319  2 Bi 2.12-2.28
O: 0.4773 0.7631 0.7155  3 Bi 2.25-2.30
O: 0.7817 0.5974 0.0495  1 V 1.73
O: 0.3799 0.7317 0.8968  2 Bi 2.12-2.15
Bi: 0.3346 0.9840 0.3281  4 O 2.17-2.35
Bi: 0.1949 0.3815 0.6054  3 O 2.21-2.23
Bi: 0.2859 0.9717 0.8229  3 O 2.15-2.25
Bi: 0.2603 0.3461 0.1728  3 O 2.17-2.20
Bi: 0.6064 0.5606 0.8155  3 O 2.12-2.30
Bi: 0.7620 0.9563 0.6738  3 O 2.14-2.26
Bi: 0.7303 0.9270 0.1588  3 O 2.12-2.27
Bi: 0.8893 0.7891 0.4358  4 O 2.10-2.31
V: 0.6771 0.3112 0.0110  4 O 1.73-1.77
V: 0.6933 0.3486 0.5027  4 O 1.69-1.86